# 1
Computed, not measured: a geometry-optimized TmHfOs2 structure at the PBE level of DFT.

Properties
Its total energy is -9.6547 eV/atom. Its space group is Fm-3m, No. 225.

Lattice parameters (Å, degrees): 4.6723 4.6723 4.6723 60.00 60.00 60.00
Last column: nearest neighbours and their distance in Å.
Atoms (fractional coordinates):
1 Tm 0.0000 0.0000 0.0000  8 Os 2.86
2 Hf 0.5000 0.5000 0.5000  8 Os 2.86
3 Os 0.2500 0.2500 0.2500  4 Hf 2.86, 4 Tm 2.86
4 Os 0.7500 0.7500 0.7500  4 Hf 2.86, 4 Tm 2.86

# 2
Computed, not measured: a geometry-optimized DySi2Rh2 structure at the PBE level of DFT.

Properties
Its total energy is -7.1576 eV/atom. Its space group is I4/mmm, No. 139.

Lattice parameters (Å, degrees): 5.7645 5.7645 5.7645 138.69 138.69 59.84
Last column: nearest neighbours and their distance in Å.
Atoms (fractional coordinates):
1 Dy 0.0000 0.0000 0.0000  8 Si 3.12, 8 Rh 3.22
2 Si 0.3785 0.3785 0.0000  4 Rh 2.40, 1 Si 2.43
3 Si 0.6215 0.6215 0.0000  4 Rh 2.40, 1 Si 2.43
4 Rh 0.2500 0.7500 0.5000  4 Si 2.40
5 Rh 0.7500 0.2500 0.5000  4 Si 2.40

# 3
Computed, not measured: a geometry-optimized Ta4CoP structure at the PBE level of DFT.

Properties
Its total energy is -10.4538 eV/atom. Its space group is P4/mcc, No. 124. The spin magnetization comes out at 0.012 Bohr magnetons per cell.

Lattice parameters (Å, degrees): 6.1333 6.1333 5.0111 90.00 90.00 90.00
Last column: nearest neighbours and their distance in Å.
Atoms (fractional coordinates):
1 Ta 0.1591 0.3327 0.0000  2 Co 2.59, 2 P 2.64, 1 Ta 2.83
2 Ta 0.1591 0.6673 0.5000  2 Co 2.59, 2 P 2.64, 1 Ta 2.83
3 Ta 0.3327 0.1591 0.5000  2 Co 2.59, 2 P 2.64, 1 Ta 2.83
4 Ta 0.3327 0.8409 0.0000  2 Co 2.59, 2 P 2.64, 1 Ta 2.83
5 Ta 0.6673 0.1591 0.0000  2 Co 2.59, 2 P 2.64, 1 Ta 2.83
6 Ta 0.6673 0.8409 0.5000  2 Co 2.59, 2 P 2.64, 1 Ta 2.83
7 Ta 0.8409 0.3327 0.5000  2 Co 2.59, 2 P 2.64, 1 Ta 2.83
8 Ta 0.8409 0.6673 0.0000  2 Co 2.59, 2 P 2.64, 1 Ta 2.83
9 Co 0.0000 0.0000 0.2500  2 Co 2.51, 8 Ta 2.59
10 Co 0.0000 0.0000 0.7500  2 Co 2.51, 8 Ta 2.59
11 P 0.5000 0.5000 0.2500  2 P 2.51, 8 Ta 2.64
12 P 0.5000 0.5000 0.7500  2 P 2.51, 8 Ta 2.64

# 4
Computed, not measured: a geometry-optimized NbBr6N2 structure at the PBE level of DFT.

Properties
Its total energy is -3.4148 eV/atom. Its space group is Fm-3m, No. 225. The spin magnetization comes out at 6.104 Bohr magnetons per cell.

Lattice parameters (Å, degrees): 7.4770 7.4770 7.4770 60.00 60.00 60.00
Last column: nearest neighbours and their distance in Å.
Atoms (fractional coordinates):
1 Nb 0.0000 0.0000 0.0000  6 Br 2.54
2 Br 0.2399 0.2399 0.7601  1 Nb 2.54
3 Br 0.2399 0.7601 0.2399  1 Nb 2.54
4 Br 0.2399 0.7601 0.7601  1 Nb 2.54
5 Br 0.7601 0.2399 0.2399  1 Nb 2.54
6 Br 0.7601 0.2399 0.7601  1 Nb 2.54
7 Br 0.7601 0.7601 0.2399  1 Nb 2.54
8 N 0.2500 0.2500 0.2500  12 Br 3.74
9 N 0.7500 0.7500 0.7500  12 Br 3.74

# 5
Computed, not measured: a geometry-optimized Al2O3 structure at the PBE level of DFT.

Properties
Its total energy is -7.2419 eV/atom. Its space group is P1, No. 1. The spin magnetization comes out at 0.008 Bohr magnetons per cell.

Lattice parameters (Å, degrees): 10.1715 10.3524 10.5491 92.79 94.76 92.37
Last column: nearest neighbours and their distance in Å.
Atoms (fractional coordinates):
1 Al 0.0000 0.0000 0.0000  4 O 1.77-1.90
2 Al 0.0016 0.6720 0.3398  5 O 1.85-2.04
3 Al 0.0584 0.1542 0.2383  4 O 1.79-1.84
4 Al 0.0577 0.3886 0.7932  4 O 1.73-1.81
5 Al 0.0998 0.9571 0.7024  5 O 1.77-1.97
6 Al 0.1351 0.4342 0.3146  4 O 1.76-1.87
7 Al 0.1600 0.6648 0.8480  4 O 1.78-1.85
8 Al 0.1693 0.9656 0.3858  4 O 1.78-1.86
9 Al 0.1952 0.7244 0.1732  4 O 1.80-1.88
10 Al 0.2199 0.7606 0.5617  4 O 1.78-1.87
11 Al 0.2332 0.4091 0.6271  4 O 1.80-1.93
12 Al 0.2518 0.3402 0.0460  4 O 1.73-1.78
13 Al 0.2748 0.0856 0.8771  5 O 1.76-1.93
14 Al 0.3080 0.0434 0.1207  4 O 1.79-1.93
15 Al 0.3266 0.2709 0.3499  4 O 1.80-1.99
16 Al 0.3873 0.8195 0.8836  4 O 1.71-1.84
17 Al 0.4224 0.7738 0.3514  5 O 1.80-1.97
18 Al 0.4318 0.5198 0.8899  3 O 1.75-1.84
19 Al 0.4378 0.0571 0.6870  4 O 1.77-1.80
20 Al 0.4795 0.7590 0.6418  4 O 1.72-1.85
21 Al 0.4941 0.0233 0.4088  5 O 1.78-1.97
22 Al 0.5285 0.7326 0.1133  3 O 1.77-1.89
23 Al 0.5338 0.2682 0.9333  5 O 1.75-1.95
24 Al 0.5689 0.2281 0.2496  5 O 1.74-1.95
25 Al 0.5719 0.4735 0.6955  4 O 1.73-1.86
26 Al 0.5886 0.5133 0.3028  4 O 1.73-1.84
27 Al 0.6446 0.2130 0.5543  4 O 1.73-1.87
28 Al 0.7016 0.5189 0.0046  5 O 1.80-1.95
29 Al 0.7186 0.8107 0.9547  4 O 1.77-1.91
30 Al 0.7238 0.1411 0.0821  3 O 1.76-1.87
31 Al 0.7249 0.7566 0.4444  4 O 1.77-1.86
32 Al 0.7845 0.9558 0.6962  4 O 1.76-1.91
33 Al 0.8107 0.1506 0.3440  4 O 1.79-1.93
34 Al 0.8176 0.4565 0.5070  3 O 1.75-1.95
35 Al 0.8282 0.8916 0.2189  4 O 1.79-1.86
36 Al 0.8600 0.2692 0.9351  4 O 1.73-1.85
37 Al 0.8627 0.4307 0.2058  6 O 1.87-2.02
38 Al 0.9211 0.1946 0.6403  3 O 1.77-1.84
39 Al 0.9388 0.6922 0.0456  4 O 1.72-1.83
40 Al 0.9478 0.6920 0.6314  4 O 1.74-1.87
41 O 0.0097 0.3183 0.2385  3 Al 1.79-1.95
42 O 0.0651 0.7773 0.7495  3 Al 1.82-1.97
43 O 0.0682 0.6720 0.5111  3 Al 1.79-1.88
44 O 0.0951 0.0237 0.8697  3 Al 1.77-1.91
45 O 0.1073 0.6962 0.0096  3 Al 1.79-1.88
46 O 0.1082 0.2883 0.6621  2 Al 1.81-1.82
47 O 0.1098 0.8208 0.2862  3 Al 1.82-1.99
48 O 0.1135 0.3869 0.9525  2 Al 1.73-1.75
49 O 0.1309 0.0316 0.1391  3 Al 1.82-1.90
50 O 0.1407 0.9091 0.5378  3 Al 1.78-1.87
51 O 0.1479 0.5255 0.7392  3 Al 1.79-1.93
52 O 0.1732 0.5944 0.2782  2 Al 1.76-1.80
53 O 0.1921 0.1422 0.3658  3 Al 1.84-1.89
54 O 0.2428 0.3915 0.4573  3 Al 1.80-1.92
55 O 0.2526 0.3499 0.2150  3 Al 1.78-1.87
56 O 0.2672 0.0270 0.7150  3 Al 1.78-1.82
57 O 0.2765 0.1765 0.0221  3 Al 1.73-1.79
58 O 0.3237 0.7787 0.7171  3 Al 1.84-1.87
59 O 0.3260 0.6574 0.9136  3 Al 1.78-1.84
60 O 0.3256 0.9490 0.9715  3 Al 1.76-1.84
61 O 0.3446 0.9269 0.3945  3 Al 1.78-1.85
62 O 0.3600 0.8021 0.1732  3 Al 1.83-2.02
63 O 0.3717 0.7081 0.4977  3 Al 1.82-1.84
64 O 0.3926 0.4464 0.7122  3 Al 1.81-1.99
65 O 0.3979 0.3842 0.9773  3 Al 1.75-1.94
66 O 0.4158 0.1190 0.2664  4 Al 1.91-2.05
67 O 0.4387 0.1599 0.8262  3 Al 1.75-1.93
68 O 0.4722 0.1404 0.5465  3 Al 1.80-1.88
69 O 0.4997 0.3606 0.3312  3 Al 1.78-1.99
70 O 0.5016 0.6485 0.2648  3 Al 1.73-1.89
71 O 0.5408 0.9212 0.6749  2 Al 1.77-1.79
72 O 0.5470 0.8332 0.9491  2 Al 1.71-1.77
73 O 0.5478 0.5984 0.0077  3 Al 1.77-1.80
74 O 0.5500 0.1924 0.0859  3 Al 1.74-1.87
75 O 0.5759 0.6411 0.7033  2 Al 1.72-1.73
76 O 0.5842 0.8619 0.4093  3 Al 1.86-1.94
77 O 0.6041 0.4233 0.8602  3 Al 1.84-1.95
78 O 0.6400 0.1363 0.3937  4 Al 1.83-1.94
79 O 0.6530 0.3810 0.5839  2 Al 1.75-1.76
80 O 0.6918 0.4902 0.1791  3 Al 1.76-1.89
81 O 0.6949 0.5802 0.4381  3 Al 1.81-1.95
82 O 0.6980 0.7893 0.1309  3 Al 1.79-1.91
83 O 0.6991 0.1968 0.9233  3 Al 1.76-1.87
84 O 0.7274 0.0279 0.2010  2 Al 1.76-1.79
85 O 0.7361 0.1140 0.6522  2 Al 1.73-1.80
86 O 0.7555 0.2674 0.2322  4 Al 1.80-2.02
87 O 0.7977 0.6540 0.9401  3 Al 1.76-1.86
88 O 0.8007 0.9197 0.8583  2 Al 1.76-1.78
89 O 0.8071 0.8007 0.6007  3 Al 1.81-1.89
90 O 0.8421 0.4116 0.0256  3 Al 1.74-1.89
91 O 0.8501 0.2643 0.4936  3 Al 1.84-2.03
92 O 0.8580 0.7876 0.3502  3 Al 1.77-1.93
93 O 0.8876 0.5349 0.6486  2 Al 1.74-1.75
94 O 0.9070 0.2941 0.7835  3 Al 1.73-1.81
95 O 0.9104 0.1411 0.0433  3 Al 1.81-1.97
96 O 0.9221 0.8656 0.0766  3 Al 1.83-1.86
97 O 0.9282 0.4928 0.3776  3 Al 1.88-2.04
98 O 0.9368 0.6047 0.1804  2 Al 1.72-1.85
99 O 0.9473 0.0507 0.3198  2 Al 1.79-1.82
100 O 0.9502 0.0284 0.6534  3 Al 1.77-1.91

# 6
Computed, not measured: a geometry-optimized Mn4Fe2Sb3 structure at the PBE level of DFT.

Properties
Its total energy is -7.2500 eV/atom. Its space group is P-4m2, No. 115. The spin magnetization comes out at 29.318 Bohr magnetons per cell.

Lattice parameters (Å, degrees): 3.9737 3.9737 18.7823 90.00 90.00 90.00
Last column: nearest neighbours and their distance in Å.
Atoms (fractional coordinates):
1 Mn 0.0000 0.0000 0.1680  4 Mn 2.66-2.67, 4 Sb 2.69, 4 Fe 2.81
2 Mn 0.0000 0.0000 0.8320  4 Mn 2.66-2.67, 4 Sb 2.69, 4 Fe 2.81
3 Mn 0.0000 0.5000 0.2623  2 Fe 2.66, 2 Mn 2.66, 5 Sb 2.77-2.81
4 Mn 0.0000 0.5000 0.5858  4 Fe 2.56, 5 Sb 2.81-2.82
5 Mn 0.0000 0.5000 0.9267  2 Mn 2.67, 2 Fe 2.67, 5 Sb 2.73-2.81
6 Mn 0.5000 0.0000 0.0733  2 Mn 2.67, 2 Fe 2.67, 5 Sb 2.73-2.81
7 Mn 0.5000 0.0000 0.4142  4 Fe 2.56, 5 Sb 2.81-2.82
8 Mn 0.5000 0.0000 0.7377  2 Fe 2.66, 2 Mn 2.66, 5 Sb 2.77-2.81
9 Fe 0.0000 0.0000 0.5000  4 Mn 2.56, 4 Sb 2.61, 4 Fe 2.81
10 Fe 0.5000 0.5000 0.1681  8 Mn 2.66-2.81, 4 Sb 2.68-2.69
11 Fe 0.5000 0.5000 0.5000  4 Mn 2.56, 4 Sb 2.61, 4 Fe 2.81
12 Fe 0.5000 0.5000 0.8319  8 Mn 2.66-2.81, 4 Sb 2.68-2.69
13 Sb 0.0000 0.5000 0.0718  7 Mn 2.69-2.81, 2 Fe 2.69
14 Sb 0.0000 0.5000 0.4098  4 Fe 2.61, 5 Mn 2.77-2.81
15 Sb 0.0000 0.5000 0.7358  2 Fe 2.68, 7 Mn 2.69-2.82
16 Sb 0.5000 0.0000 0.2642  2 Fe 2.68, 7 Mn 2.69-2.82
17 Sb 0.5000 0.0000 0.5902  4 Fe 2.61, 5 Mn 2.77-2.81
18 Sb 0.5000 0.0000 0.9282  7 Mn 2.69-2.81, 2 Fe 2.69

# 7
Computed, not measured: a geometry-optimized Mg9Si5 structure at the PBE level of DFT.

Properties
As for the energy above the most stable polymorph in this dataset: 205 kJ/mol of formula units. Its space group is P1, No. 1. The spin magnetization comes out at 0.004 Bohr magnetons per cell.

Lattice parameters (Å, degrees): 6.9315 7.9095 11.3817 82.69 86.93 64.36
Last column: nearest neighbours and their distance in Å.
Atoms (fractional coordinates):
1 Mg 0.0000 0.0000 0.0000  3 Si 2.85-2.88, 4 Mg 2.86-3.11
2 Mg 0.0095 0.0885 0.3923  5 Si 2.77-3.02, 3 Mg 2.94-3.07
3 Mg 0.1012 0.8552 0.6364  4 Si 2.72-2.85, 1 Mg 3.01
4 Mg 0.2091 0.6195 0.8737  5 Si 2.81-2.94, 5 Mg 2.95-3.11
5 Mg 0.2138 0.7113 0.2722  4 Si 2.72-3.03, 2 Mg 3.01-3.04
6 Mg 0.2990 0.2026 0.9500  4 Si 2.76-2.87
7 Mg 0.3369 0.4769 0.5203  4 Si 2.71-2.98, 1 Mg 2.94
8 Mg 0.3465 0.1005 0.5816  3 Si 2.77-2.89, 2 Mg 2.94-3.08
9 Mg 0.3841 0.0461 0.2155  4 Si 2.79-3.00, 2 Mg 3.10-3.11
10 Mg 0.4984 0.7110 0.0296  4 Si 2.80-3.07, 3 Mg 3.04-3.11
11 Mg 0.5737 0.6219 0.7139  4 Si 2.69-3.01, 1 Mg 2.99
12 Mg 0.6809 0.6208 0.2853  2 Si 2.72-2.92, 4 Mg 2.88-3.01
13 Mg 0.7198 0.9243 0.8129  2 Si 2.80-2.93, 1 Mg 3.13
14 Mg 0.7858 0.8359 0.4677  4 Si 2.77-3.08, 3 Mg 3.04-3.05
15 Mg 0.8490 0.4288 0.5156  3 Si 2.74-2.77, 5 Mg 2.88-3.04
16 Mg 0.8857 0.3056 0.1402  5 Si 2.86-3.11, 4 Mg 2.86-3.11
17 Mg 0.9408 0.2184 0.7561  5 Si 2.66-2.86, 1 Mg 2.96
18 Mg 0.9422 0.6657 0.0886  3 Si 2.77-2.94, 6 Mg 2.89-3.04
19 Si 0.1354 0.3818 0.3300  1 Si 2.68, 6 Mg 2.77-2.98
20 Si 0.3139 0.9290 0.8171  9 Mg 2.66-2.89
21 Si 0.3874 0.4097 0.1046  2 Si 2.47-2.50
22 Si 0.4158 0.7844 0.4642  8 Mg 2.71-3.02
23 Si 0.5548 0.2898 0.3025  3 Si 2.47-2.68
24 Si 0.6238 0.3378 0.9262  2 Si 2.50-2.58, 1 Mg 2.77
25 Si 0.7152 0.1525 0.5882  8 Mg 2.72-2.93
26 Si 0.8098 0.9846 0.2291  1 Si 2.51, 3 Mg 2.72-2.79
27 Si 0.8855 0.4932 0.9050  2 Si 2.58-2.59, 5 Mg 2.77-2.89
28 Si 0.9948 0.5557 0.6883  1 Si 2.59, 6 Mg 2.74-2.86

# 8
Computed, not measured: a geometry-optimized Ba2DyNbO6 structure at the PBE level of DFT.

Properties
Its total energy is -7.8709 eV/atom. Its space group is Fm-3m, No. 225. The spin magnetization comes out at 0.000 Bohr magnetons per cell.

Lattice parameters (Å, degrees): 6.0527 6.0527 6.0527 60.00 60.00 60.00
Last column: nearest neighbours and their distance in Å.
Atoms (fractional coordinates):
1 Ba 0.2500 0.2500 0.2500  12 O 3.03
2 Ba 0.7500 0.7500 0.7500  12 O 3.03
3 Dy 0.0000 0.0000 0.0000  6 O 2.25
4 Nb 0.5000 0.5000 0.5000  6 O 2.03
5 O 0.2631 0.2631 0.7369  1 Nb 2.03, 1 Dy 2.25
6 O 0.2631 0.7369 0.2631  1 Nb 2.03, 1 Dy 2.25
7 O 0.2631 0.7369 0.7369  1 Nb 2.03, 1 Dy 2.25
8 O 0.7369 0.2631 0.2631  1 Nb 2.03, 1 Dy 2.25
9 O 0.7369 0.2631 0.7369  1 Nb 2.03, 1 Dy 2.25
10 O 0.7369 0.7369 0.2631  1 Nb 2.03, 1 Dy 2.25

What are the density values for these records? In order: 16.759; 8.532; 14.336; 3.373; 3.066; 7.802; 2.138; 6.630 g/cm3.